Computed, not measured: crystalline RbSbClF3 at its relaxed geometry at the GGA-PBE level of DFT.

a b c (Å): 8.238 8.531 15.416
angles (deg): 90.00 90.00 90.00
Fractional coordinates of all 48 atoms:
Rb 0.182 0.192 0.058
Rb 0.182 0.308 0.558
Rb 0.318 0.692 0.058
Rb 0.318 0.808 0.558
Rb 0.682 0.192 0.442
Rb 0.682 0.308 0.942
Rb 0.818 0.692 0.442
Rb 0.818 0.808 0.942
Sb 0.129 0.004 0.324
Sb 0.129 0.496 0.824
Sb 0.371 0.504 0.324
Sb 0.371 0.996 0.824
Sb 0.629 0.004 0.176
Sb 0.629 0.496 0.676
Sb 0.871 0.504 0.176
Sb 0.871 0.996 0.676
Cl 0.018 0.122 0.850
Cl 0.018 0.378 0.350
Cl 0.482 0.622 0.850
Cl 0.482 0.878 0.350
Cl 0.518 0.122 0.650
Cl 0.518 0.378 0.150
Cl 0.982 0.622 0.650
Cl 0.982 0.878 0.150
F 0.109 0.503 0.154
F 0.109 0.997 0.654
F 0.113 0.721 0.854
F 0.113 0.779 0.354
F 0.158 0.043 0.450
F 0.158 0.457 0.950
F 0.342 0.543 0.450
F 0.342 0.957 0.950
F 0.387 0.221 0.854
F 0.387 0.279 0.354
F 0.391 0.003 0.154
F 0.391 0.497 0.654
F 0.609 0.503 0.346
F 0.609 0.997 0.846
F 0.613 0.721 0.646
F 0.613 0.779 0.146
F 0.658 0.043 0.050
F 0.658 0.457 0.550
F 0.842 0.543 0.050
F 0.842 0.957 0.550
F 0.887 0.221 0.646
F 0.887 0.279 0.146
F 0.891 0.003 0.346
F 0.891 0.497 0.846

Computed properties:
SG = Pbca, No. 61
Spin magnetization = 0.000 μB per atom
Calculated density = 3.675 g/cm3
ΔH_f (0 K) = -2469 meV/atom